(1)
Material: P2O5
Method: DFT, PBE
State: optimized geometry Values from VASP.

Output
The polymorph energy (0 for the lowest one) comes out at 0.715 eV/atom.

```
&SYSTEM
  ibrav = 0, nat = 105, ntyp = 2
/
ATOMIC_SPECIES
P 30.97 P.upf
O 16.00 O.upf
CELL_PARAMETERS angstrom
11.801 0.067 0.032
0.064 12.486 -0.133
0.026 -0.141 12.672
ATOMIC_POSITIONS crystal
P 0.872 0.050 0.833
P 0.536 0.586 0.193
P 0.858 0.775 0.189
P 0.607 0.272 0.337
P 0.053 0.506 0.619
P 0.347 0.002 0.378
P 0.600 0.714 0.534
P 0.793 0.384 0.427
P 0.151 0.603 0.035
P 0.000 0.944 0.124
P 0.249 0.555 0.461
P 0.307 0.164 0.819
P 0.079 0.151 0.737
P 0.131 0.911 0.735
P 0.998 0.835 0.445
P 0.446 0.971 0.801
P 0.248 0.794 0.454
P 0.828 0.811 0.625
P 0.754 0.051 0.624
P 0.939 0.527 0.145
P 0.748 0.521 0.553
P 0.935 0.103 0.043
P 0.394 0.782 0.661
P 0.301 0.151 0.054
P 0.538 0.078 0.113
P 0.017 0.098 0.441
P 0.151 0.498 0.826
P 0.579 0.447 0.883
P 0.645 0.403 0.055
P 0.506 0.847 0.989
O 0.318 0.037 0.489
O 0.819 0.556 0.642
O 0.055 0.892 0.825
O 0.891 0.313 0.423
O 0.423 0.569 0.236
O 0.263 0.038 0.049
O 0.646 0.184 0.402
O 0.070 0.236 0.660
O 0.239 0.241 0.105
O 0.267 0.635 0.055
O 0.720 0.321 0.099
O 0.102 0.034 0.687
O 0.071 0.587 0.130
O 0.093 0.588 0.928
O 0.990 0.778 0.342
O 0.810 0.514 0.437
O 0.591 0.478 0.145
O 0.438 0.900 0.693
O 0.966 0.139 0.810
O 0.232 0.478 0.372
O 0.170 0.161 0.829
O 0.635 0.032 0.603
O 0.775 0.837 0.250
O 0.635 0.110 0.175
O 0.083 0.400 0.837
O 0.113 0.560 0.525
O 0.827 0.935 0.621
O 0.092 0.918 0.194
O 0.919 0.779 0.532
O 0.333 0.558 0.547
O 0.696 0.372 0.339
O 0.333 0.806 0.549
O 0.512 0.723 0.631
O 0.242 0.679 0.410
O 0.506 0.301 0.278
O 0.435 0.153 0.107
O 0.024 0.002 0.014
O 0.717 0.396 0.540
O 0.616 0.675 0.193
O 0.978 0.956 0.456
O 0.353 0.233 0.739
O 0.537 0.982 0.039
O 0.542 0.364 0.980
O 0.030 0.111 0.327
O 0.634 0.588 0.539
O 0.900 0.037 0.148
O 0.323 0.731 0.738
O 0.860 0.407 0.829
O 0.765 0.067 0.766
O 0.710 0.775 0.574
O 0.325 0.034 0.798
O 0.498 0.536 0.866
O 0.799 0.337 0.796
O 0.469 0.978 0.344
O 0.836 0.080 0.954
O 0.900 0.492 0.040
O 0.868 0.657 0.166
O 0.617 0.810 0.949
O 0.924 0.836 0.098
O 0.972 0.213 0.049
O 0.274 0.511 0.832
O 0.624 0.387 0.786
O 0.835 0.130 0.585
O 0.938 0.482 0.250
O 0.125 0.820 0.502
O 0.433 0.802 0.070
O 0.686 0.482 0.962
O 0.424 0.887 0.891
O 0.543 0.040 0.813
O 0.282 0.870 0.369
O 0.856 0.765 0.727
O 0.286 0.062 0.291
O 0.345 0.187 0.935
O 0.103 0.566 0.722
O 0.556 0.746 0.432
```



(2)
Material: P2O5
Method: DFT, PBE
State: optimized geometry Values from VASP.

Output
The polymorph energy (0 for the lowest one) comes out at 0.677 eV/atom.

```
&SYSTEM
  ibrav = 0, nat = 7, ntyp = 2
/
ATOMIC_SPECIES
P 30.97 P.upf
O 16.00 O.upf
CELL_PARAMETERS angstrom
3.093 0.000 0.000
0.000 3.269 0.000
0.000 0.000 5.920
ATOMIC_POSITIONS crystal
P 0.000 0.000 0.000
P 0.500 0.000 0.500
O 0.000 0.000 0.689
O 0.000 0.500 0.000
O 0.000 0.000 0.311
O 0.500 0.500 0.500
O 0.500 0.000 0.000
```



(3)
Material: PO3
Method: DFT, PBE
State: optimized geometry Values from VASP.

```
&SYSTEM
  ibrav = 0, nat = 32, ntyp = 2
/
ATOMIC_SPECIES
P 30.97 P.upf
O 16.00 O.upf
CELL_PARAMETERS angstrom
-3.970 6.270 2.057
-0.686 1.924 -7.425
-11.272 -6.891 -0.745
ATOMIC_POSITIONS crystal
P 0.294 0.706 0.500
P 0.706 0.294 0.500
P 0.206 0.794 0.000
P 0.794 0.206 0.000
P 0.539 0.539 0.643
P 0.461 0.461 0.357
P 0.961 0.961 0.143
P 0.039 0.039 0.857
O 0.463 0.689 0.571
O 0.537 0.311 0.429
O 0.037 0.811 0.071
O 0.189 0.963 0.929
O 0.963 0.189 0.929
O 0.811 0.037 0.071
O 0.311 0.537 0.429
O 0.689 0.463 0.571
O 0.904 0.904 0.829
O 0.096 0.096 0.171
O 0.596 0.596 0.329
O 0.404 0.404 0.671
O 0.699 0.125 0.557
O 0.301 0.875 0.443
O 0.801 0.375 0.057
O 0.625 0.199 0.943
O 0.199 0.625 0.943
O 0.375 0.801 0.057
O 0.875 0.301 0.443
O 0.125 0.699 0.557
O 0.614 0.614 0.739
O 0.386 0.386 0.261
O 0.886 0.886 0.239
O 0.114 0.114 0.761
```



(4)
Material: P2O5
Method: DFT, PBE
State: optimized geometry Values from VASP.

Output
Its largest piezoelectric modulus is 0.32 C/m². The polymorph energy (0 for the lowest one) comes out at 0.000 eV/atom.

```
&SYSTEM
  ibrav = 0, nat = 14, ntyp = 2
/
ATOMIC_SPECIES
P 30.97 P.upf
O 16.00 O.upf
CELL_PARAMETERS angstrom
0.000 4.083 8.294
2.775 0.000 8.294
2.775 4.083 0.000
ATOMIC_POSITIONS crystal
P 0.601 0.551 0.245
P 0.603 0.245 0.551
P 0.005 0.647 0.649
P 0.699 0.649 0.647
O 0.273 0.844 0.394
O 0.490 0.394 0.844
O 0.856 0.760 0.977
O 0.406 0.977 0.760
O 0.991 0.509 0.509
O 0.741 0.259 0.259
O 0.788 0.481 0.371
O 0.360 0.371 0.481
O 0.879 0.890 0.462
O 0.769 0.462 0.890
```



(5)
Material: P2O5
Method: DFT, PBE
State: optimized geometry Values from VASP.

Output
The polymorph energy (0 for the lowest one) comes out at 0.036 eV/atom.

```
&SYSTEM
  ibrav = 0, nat = 14, ntyp = 2
/
ATOMIC_SPECIES
P 30.97 P.upf
O 16.00 O.upf
CELL_PARAMETERS angstrom
3.010 -7.410 -4.636
2.958 -8.227 0.233
-3.709 -2.334 -2.274
ATOMIC_POSITIONS crystal
P 0.942 0.407 0.407
P 0.262 0.387 0.400
P 0.864 0.985 0.295
P 0.854 0.302 0.985
O 0.662 0.723 0.516
O 0.116 0.505 0.726
O 0.743 0.146 0.591
O 0.529 0.590 0.133
O 0.982 0.014 0.012
O 0.242 0.254 0.252
O 0.021 0.206 0.647
O 0.138 0.635 0.202
O 0.610 0.116 0.229
O 0.032 0.234 0.132
```



(6)
Material: P2O5
Method: DFT, PBE
State: optimized geometry Values from VASP.

Output
The polymorph energy (0 for the lowest one) comes out at 0.556 eV/atom.

```
&SYSTEM
  ibrav = 0, nat = 105, ntyp = 2
/
ATOMIC_SPECIES
P 30.97 P.upf
O 16.00 O.upf
CELL_PARAMETERS angstrom
12.631 -0.605 0.376
-0.685 11.896 0.168
0.338 0.152 11.863
ATOMIC_POSITIONS crystal
P 0.169 0.243 0.033
P 0.124 0.821 0.602
P 0.840 0.514 0.478
P 0.879 0.293 0.544
P 0.204 0.611 0.526
P 0.557 0.342 0.830
P 0.844 0.925 0.950
P 0.720 0.826 0.764
P 0.337 0.625 0.713
P 0.990 0.765 0.830
P 0.920 0.366 0.310
P 0.439 0.021 0.127
P 0.413 0.238 0.014
P 0.472 0.699 0.274
P 0.457 0.795 0.041
P 0.838 0.174 0.929
P 0.897 0.976 0.379
P 0.478 0.814 0.795
P 0.320 0.231 0.349
P 0.943 0.586 0.005
P 0.482 0.462 0.641
P 0.003 0.089 0.576
P 0.968 0.798 0.411
P 0.456 0.294 0.469
P 0.122 0.269 0.268
P 0.802 0.611 0.816
P 0.020 0.364 0.889
P 0.234 0.649 0.278
P 0.722 0.190 0.727
P 0.249 0.851 0.122
O 0.084 0.808 0.751
O 0.461 0.305 0.102
O 0.227 0.681 0.410
O 0.451 0.813 0.310
O 0.164 0.884 0.056
O 0.579 0.445 0.892
O 0.716 0.700 0.825
O 0.659 0.287 0.783
O 0.888 0.054 0.928
O 0.515 0.065 0.206
O 0.820 0.880 0.064
O 0.828 0.203 0.796
O 0.112 0.099 0.522
O 0.218 0.775 0.231
O 0.913 0.485 0.362
O 0.970 0.041 0.690
O 0.378 0.503 0.708
O 0.156 0.562 0.241
O 0.252 0.633 0.800
O 0.344 0.207 0.481
O 0.399 0.102 0.032
O 0.261 0.261 0.715
O 0.779 0.508 0.754
O 0.490 0.925 0.044
O 0.331 0.777 0.050
O 0.746 0.905 0.868
O 0.219 0.301 0.349
O 0.480 0.241 0.892
O 0.788 0.845 0.661
O 0.018 0.836 0.545
O 0.491 0.756 0.920
O 0.495 0.353 0.716
O 0.179 0.299 0.688
O 0.907 0.690 0.763
O 0.883 0.627 0.514
O 0.329 0.949 0.169
O 0.730 0.464 0.469
O 0.075 0.152 0.262
O 0.661 0.080 0.725
O 0.445 0.707 0.724
O 0.970 0.231 0.584
O 0.571 0.550 0.622
O 0.866 0.277 0.414
O 0.298 0.265 0.981
O 0.769 0.242 0.606
O 0.232 0.025 0.812
O 0.508 0.721 0.122
O 0.413 0.907 0.794
O 0.426 0.324 0.341
O 0.940 0.256 0.955
O 0.911 0.051 0.488
O 0.940 0.867 0.882
O 0.046 0.356 0.319
O 0.599 0.839 0.751
O 0.831 0.595 0.945
O 0.542 0.618 0.312
O 0.313 0.139 0.270
O 0.836 0.026 0.294
O 0.120 0.678 0.591
O 0.879 0.339 0.201
O 0.851 0.848 0.430
O 0.174 0.322 0.148
O 0.428 0.405 0.535
O 0.740 0.175 0.999
O 0.315 0.654 0.585
O 0.983 0.472 0.970
O 0.150 0.061 0.852
O 0.900 0.419 0.567
O 0.022 0.684 0.926
O 0.554 0.250 0.498
O 0.179 0.489 0.524
O 0.353 0.627 0.250
O 0.938 0.613 0.123
O 0.129 0.343 0.948
O 0.009 0.927 0.347
```



| no. | ΔE_f (meV/atom) |
| --- | --- |
| 1 | -1724 |
| 2 | -1762 |
| 3 | -1940 |
| 4 | -2439 |
| 5 | -2403 |
| 6 | -1883 |